(1)
## Li9Co7O16 (PBE+U)

Data for crystalline Li9Co7O16 at its relaxed geometry. Values from VASP.

Summary:
SG: P2/m (10)
E_form: -1.703 eV/atom
Energy: -178.13 eV per cell
Magnetization: 0.063 μB per atom

Geometry as Quantum ESPRESSO input:
```
&SYSTEM
  ibrav = 0, nat = 32, ntyp = 3
/
ATOMIC_SPECIES
Li 6.94 Li.upf
Co 58.93 Co.upf
O 16.00 O.upf
CELL_PARAMETERS angstrom
-3.552 2.301 -3.981
-2.292 -4.545 -0.581
-6.969 0.809 6.687
ATOMIC_POSITIONS crystal
Li 0.253 0.500 0.000
Li 0.500 0.242 0.246
Li 0.747 0.500 0.000
Li 0.000 0.253 0.246
Li 0.000 0.747 0.754
Li 0.500 0.758 0.754
Li 0.746 0.000 0.500
Li 0.254 0.000 0.500
Li 0.500 0.000 0.000
Co 0.000 0.000 0.000
Co 0.255 0.757 0.243
Co 0.500 0.500 0.500
Co 0.745 0.243 0.757
Co 0.745 0.757 0.243
Co 0.000 0.500 0.500
Co 0.255 0.243 0.757
O 0.000 0.344 0.881
O 0.228 0.104 0.120
O 0.500 0.379 0.860
O 0.772 0.104 0.120
O 0.761 0.607 0.613
O 0.239 0.607 0.613
O 0.500 0.867 0.371
O 0.000 0.834 0.376
O 0.500 0.621 0.140
O 0.761 0.393 0.387
O 0.000 0.656 0.119
O 0.239 0.393 0.387
O 0.228 0.896 0.880
O 0.772 0.896 0.880
O 0.000 0.166 0.624
O 0.500 0.133 0.629
```

(2)
## Li8CoO4F2 (PBE+U)

Data for crystalline Li8CoO4F2 at its relaxed geometry. Values from VASP.

Summary:
SG: P-1 (2)
E_form: -2.144 eV/atom
Energy: -145.70 eV per cell
Magnetization: 0.000 μB per atom

Geometry as Quantum ESPRESSO input:
```
&SYSTEM
  ibrav = 0, nat = 30, ntyp = 4
/
ATOMIC_SPECIES
Li 6.94 Li.upf
Co 58.93 Co.upf
O 16.00 O.upf
F 19.00 F.upf
CELL_PARAMETERS angstrom
5.473 0.000 0.000
2.681 4.823 0.000
2.475 1.680 10.364
ATOMIC_POSITIONS crystal
Li 0.225 0.883 0.322
Li 0.423 0.796 0.684
Li 0.592 0.933 0.182
Li 0.765 0.823 0.514
Li 0.587 0.715 0.997
Li 0.049 0.725 0.833
Li 0.907 0.567 0.335
Li 0.694 0.412 0.820
Li 0.306 0.588 0.180
Li 0.093 0.433 0.665
Li 0.951 0.275 0.167
Li 0.413 0.285 0.003
Li 0.235 0.177 0.486
Li 0.577 0.204 0.316
Li 0.408 0.067 0.818
Li 0.775 0.117 0.678
Co 0.000 0.000 0.000
Co 0.500 0.500 0.500
O 0.279 0.960 0.117
O 0.353 0.730 0.880
O 0.541 0.859 0.381
O 0.755 0.478 0.621
O 0.245 0.522 0.379
O 0.459 0.141 0.619
O 0.647 0.270 0.120
O 0.721 0.040 0.883
F 0.957 0.618 0.143
F 0.105 0.789 0.638
F 0.895 0.211 0.362
F 0.043 0.382 0.857
```

(3)
## MgV3CrO10 (PBE+U)

Data for crystalline MgV3CrO10 at its relaxed geometry. Values from VASP.

Summary:
SG: P1 (1)
E_form: -2.277 eV/atom
Energy: -108.17 eV per cell
Magnetization: 0.200 μB per atom

Geometry as Quantum ESPRESSO input:
```
&SYSTEM
  ibrav = 0, nat = 15, ntyp = 4
/
ATOMIC_SPECIES
Mg 24.30 Mg.upf
V 50.94 V.upf
Cr 52.00 Cr.upf
O 16.00 O.upf
CELL_PARAMETERS angstrom
-5.407 -3.212 -1.554
2.756 -1.874 -5.720
2.349 -4.321 2.305
ATOMIC_POSITIONS crystal
Mg 0.219 0.569 0.097
V 0.253 0.265 0.598
V 0.743 0.733 0.390
V 0.751 0.241 0.491
Cr 0.253 0.760 0.539
O 0.034 0.728 0.308
O 0.230 0.306 0.290
O 0.252 0.537 0.749
O 0.267 0.979 0.696
O 0.446 0.714 0.312
O 0.549 0.259 0.677
O 0.736 0.012 0.326
O 0.748 0.457 0.289
O 0.762 0.715 0.688
O 0.968 0.244 0.689
```

(4)
## Li6V3P8O29 (PBE+U)

Data for crystalline Li6V3P8O29 at its relaxed geometry. Values from VASP.

Summary:
SG: P1 (1)
E_form: -2.656 eV/atom
Energy: -645.35 eV per cell
Magnetization: 0.065 μB per atom

Geometry as Quantum ESPRESSO input:
```
&SYSTEM
  ibrav = 0, nat = 92, ntyp = 4
/
ATOMIC_SPECIES
Li 6.94 Li.upf
V 50.94 V.upf
P 30.97 P.upf
O 16.00 O.upf
CELL_PARAMETERS angstrom
2.447 -8.267 -4.610
-5.879 6.495 -4.409
11.186 6.311 -5.454
ATOMIC_POSITIONS crystal
Li 0.233 0.912 0.058
Li 0.665 0.901 0.564
Li 0.332 0.663 0.884
Li 0.675 0.771 0.058
Li 0.091 0.328 0.060
Li 0.765 0.662 0.443
Li 0.239 0.334 0.566
Li 0.900 0.665 0.936
Li 0.334 0.095 0.443
Li 0.901 0.233 0.444
Li 0.018 0.045 0.987
Li 0.012 0.960 0.514
V 0.565 0.565 0.249
V 0.440 0.435 0.753
V 0.003 0.564 0.744
V 0.999 0.434 0.251
V 0.435 0.000 0.248
V 0.563 0.004 0.753
P 0.219 0.910 0.843
P 0.084 0.777 0.340
P 0.685 0.914 0.344
P 0.333 0.667 0.127
P 0.338 0.665 0.630
P 0.685 0.778 0.842
P 0.775 0.688 0.657
P 0.092 0.315 0.844
P 0.913 0.684 0.154
P 0.229 0.315 0.345
P 0.307 0.223 0.158
P 0.666 0.333 0.369
P 0.673 0.338 0.870
P 0.309 0.085 0.657
P 0.913 0.223 0.659
P 0.778 0.084 0.159
O 0.217 0.008 0.567
O 0.255 0.916 0.341
O 0.996 0.766 0.063
O 0.075 0.742 0.839
O 0.369 0.894 0.830
O 0.320 0.810 0.166
O 0.527 0.910 0.328
O 0.794 0.995 0.077
O 0.659 0.920 0.843
O 0.191 0.666 0.676
O 0.080 0.618 0.330
O 0.488 0.813 0.672
O 0.332 0.666 0.019
O 0.339 0.662 0.523
O 0.489 0.679 0.166
O 0.100 0.476 0.834
O 0.189 0.512 0.167
O 0.662 0.745 0.341
O 0.792 0.797 0.750
O 0.784 0.784 0.569
O 0.772 0.772 0.930
O 0.521 0.628 0.831
O 0.329 0.512 0.672
O 0.745 0.662 0.159
O 0.382 0.473 0.328
O 0.084 0.338 0.343
O 0.009 0.800 0.242
O 0.991 0.790 0.422
O 0.003 0.222 0.571
O 0.913 0.658 0.659
O 0.616 0.537 0.665
O 0.260 0.343 0.839
O 0.678 0.488 0.328
O 0.461 0.380 0.168
O 0.200 0.209 0.077
O 0.232 0.234 0.436
O 0.209 0.200 0.257
O 0.338 0.254 0.662
O 0.822 0.484 0.827
O 0.908 0.527 0.171
O 0.528 0.342 0.824
O 0.676 0.347 0.976
O 0.664 0.334 0.476
O 0.510 0.189 0.328
O 0.908 0.377 0.668
O 0.810 0.320 0.330
O 0.339 0.083 0.159
O 0.202 0.998 0.750
O 0.216 0.993 0.932
O 0.462 0.080 0.667
O 0.663 0.186 0.825
O 0.620 0.081 0.168
O 0.918 0.257 0.161
O 0.011 0.227 0.933
O 0.998 0.206 0.753
O 0.746 0.079 0.659
O 0.765 0.996 0.436
O 0.800 0.009 0.258
```